# 1
{"formula": "Zr2CuH2", "functional": "GGA-PBE", "state": "relaxed", "cell": [[-1.629, 1.629, 5.895], [1.629, -1.629, 5.895], [1.629, 1.629, -5.895]], "species": ["Zr", "Zr", "Cu", "H", "H"], "fractional_positions": [[0.139, 0.139, 0.000], [0.861, 0.861, 0.000], [0.500, 0.500, 0.000], [0.250, 0.750, 0.500], [0.750, 0.250, 0.500]], "magnetic_moment_mub_per_cell": 0.01}

***

# 2
{"formula": "MgSn2P2O10", "functional": "GGA-PBE", "state": "relaxed", "cell": [[0.000, 8.375, 3.752], [5.799, 0.000, 3.752], [5.799, 8.375, 0.000]], "species": ["Mg", "Mg", "Sn", "Sn", "Sn", "Sn", "P", "P", "P", "P", "O", "O", "O", "O", "O", "O", "O", "O", "O", "O", "O", "O", "O", "O", "O", "O", "O", "O", "O", "O"], "fractional_positions": [[0.000, 0.000, 0.000], [0.250, 0.250, 0.250], [0.140, 0.628, 0.615], [0.628, 0.140, 0.617], [0.633, 0.635, 0.622], [0.635, 0.633, 0.110], [0.053, 0.465, 0.036], [0.214, 0.804, 0.197], [0.465, 0.053, 0.446], [0.804, 0.214, 0.785], [0.010, 0.324, 0.695], [0.074, 0.378, 0.906], [0.199, 0.891, 0.323], [0.259, 0.932, 0.542], [0.280, 0.555, 0.926], [0.324, 0.010, 0.970], [0.344, 0.608, 0.176], [0.378, 0.074, 0.642], [0.440, 0.581, 0.410], [0.555, 0.280, 0.240], [0.581, 0.440, 0.569], [0.608, 0.344, 0.872], [0.663, 0.927, 0.359], [0.681, 0.840, 0.669], [0.708, 0.983, 0.991], [0.840, 0.681, 0.810], [0.891, 0.199, 0.587], [0.927, 0.663, 0.051], [0.932, 0.259, 0.267], [0.983, 0.708, 0.318]], "magnetic_moment_mub_per_cell": 0.00}

***

# 3
{"formula": "Na4SnS4O14", "functional": "GGA-PBE", "state": "relaxed", "cell": [[4.230, -9.934, 0.000], [4.230, 9.934, 0.000], [-3.446, 0.000, 9.874]], "species": ["Na", "Na", "Na", "Na", "Na", "Na", "Na", "Na", "Sn", "Sn", "S", "S", "S", "S", "S", "S", "S", "S", "O", "O", "O", "O", "O", "O", "O", "O", "O", "O", "O", "O", "O", "O", "O", "O", "O", "O", "O", "O", "O", "O", "O", "O", "O", "O", "O", "O"], "fractional_positions": [[0.035, 0.965, 0.500], [0.080, 0.483, 0.555], [0.167, 0.275, 0.800], [0.275, 0.167, 0.300], [0.474, 0.702, 0.877], [0.483, 0.080, 0.055], [0.702, 0.474, 0.377], [0.965, 0.035, 0.000], [0.500, 0.839, 0.331], [0.839, 0.500, 0.831], [0.009, 0.573, 0.254], [0.168, 0.606, 0.013], [0.337, 0.412, 0.577], [0.412, 0.337, 0.077], [0.573, 0.009, 0.754], [0.606, 0.168, 0.513], [0.762, 0.818, 0.197], [0.818, 0.762, 0.697], [0.059, 0.756, 0.424], [0.096, 0.539, 0.341], [0.118, 0.748, 0.536], [0.136, 0.501, 0.852], [0.145, 0.722, 0.978], [0.156, 0.333, 0.592], [0.248, 0.305, 0.030], [0.305, 0.248, 0.530], [0.333, 0.156, 0.092], [0.365, 0.718, 0.069], [0.428, 0.809, 0.714], [0.446, 0.983, 0.254], [0.460, 0.512, 0.727], [0.501, 0.136, 0.352], [0.512, 0.460, 0.227], [0.539, 0.096, 0.841], [0.706, 0.796, 0.051], [0.718, 0.365, 0.569], [0.722, 0.145, 0.478], [0.746, 0.927, 0.286], [0.748, 0.118, 0.036], [0.756, 0.059, 0.924], [0.796, 0.706, 0.551], [0.809, 0.428, 0.214], [0.919, 0.957, 0.742], [0.927, 0.746, 0.786], [0.957, 0.919, 0.242], [0.983, 0.446, 0.754]], "magnetic_moment_mub_per_cell": 4.00}

***

# 4
{"formula": "Sm4Pt", "functional": "GGA-PBE", "state": "relaxed", "cell": [[0.000, 5.582, 5.582], [5.582, 0.000, 5.582], [5.582, 5.582, 0.000]], "species": ["Sm", "Sm", "Sm", "Sm", "Sm", "Sm", "Sm", "Sm", "Pt", "Pt"], "fractional_positions": [[0.206, 0.765, 0.765], [0.235, 0.235, 0.235], [0.235, 0.235, 0.794], [0.235, 0.794, 0.235], [0.765, 0.206, 0.765], [0.765, 0.765, 0.206], [0.765, 0.765, 0.765], [0.794, 0.235, 0.235], [0.375, 0.375, 0.375], [0.625, 0.625, 0.625]], "magnetic_moment_mub_per_cell": 0.00}

***

# 5
{"formula": "Si2N2O", "functional": "GGA-PBE", "state": "relaxed", "cell": [[4.086, -2.338, 0.000], [4.086, 2.338, 0.000], [-0.021, 0.000, 12.796]], "species": ["Si", "Si", "Si", "Si", "Si", "Si", "Si", "Si", "Si", "Si", "Si", "Si", "N", "N", "N", "N", "N", "N", "N", "N", "N", "N", "N", "N", "O", "O", "O", "O", "O", "O"], "fractional_positions": [[0.001, 0.996, 0.853], [0.004, 0.999, 0.647], [0.313, 0.332, 0.186], [0.315, 0.328, 0.480], [0.328, 0.315, 0.980], [0.332, 0.313, 0.686], [0.668, 0.687, 0.314], [0.672, 0.685, 0.020], [0.685, 0.672, 0.520], [0.687, 0.668, 0.814], [0.996, 0.001, 0.353], [0.999, 0.004, 0.147], [0.006, 0.291, 0.752], [0.020, 0.341, 0.083], [0.047, 0.629, 0.585], [0.291, 0.006, 0.252], [0.341, 0.020, 0.583], [0.371, 0.953, 0.915], [0.629, 0.047, 0.085], [0.659, 0.980, 0.417], [0.709, 0.994, 0.748], [0.953, 0.371, 0.415], [0.980, 0.659, 0.917], [0.994, 0.709, 0.248], [0.332, 0.668, 0.750], [0.333, 0.655, 0.082], [0.345, 0.667, 0.418], [0.655, 0.333, 0.582], [0.667, 0.345, 0.918], [0.668, 0.332, 0.250]], "magnetic_moment_mub_per_cell": 0.00}

***

# 6
{"formula": "Na6Ta3InSi6O24", "functional": "GGA-PBE", "state": "relaxed", "cell": [[-2.681, -15.266, 2.976], [3.980, 0.860, 8.132], [-5.716, 6.822, 2.018]], "species": ["Na", "Na", "Na", "Na", "Na", "Na", "Na", "Na", "Na", "Na", "Na", "Na", "Si", "Si", "Si", "Si", "Si", "Si", "Si", "Si", "Si", "Si", "Si", "Si", "O", "O", "O", "O", "O", "O", "O", "O", "O", "O", "O", "O", "O", "O", "O", "O", "O", "O", "O", "O", "O", "O", "O", "O", "O", "O", "O", "O", "O", "O", "O", "O", "O", "O", "O", "O", "O", "O", "O", "O", "O", "O", "O", "O", "O", "O", "O", "O", "Ta", "Ta", "Ta", "Ta", "Ta", "Ta", "In", "In"], "fractional_positions": [[0.186, 0.066, 0.793], [0.007, 0.601, 0.764], [0.751, 0.250, 0.999], [0.301, 0.434, 0.219], [0.507, 0.101, 0.764], [0.747, 0.748, 0.488], [0.251, 0.750, 0.999], [0.501, 0.880, 0.240], [0.247, 0.248, 0.488], [0.001, 0.380, 0.240], [0.801, 0.934, 0.219], [0.686, 0.566, 0.793], [0.500, 0.541, 0.256], [0.857, 0.601, 0.251], [0.997, 0.957, 0.745], [0.355, 0.895, 0.760], [0.646, 0.896, 0.748], [0.000, 0.041, 0.256], [0.357, 0.101, 0.251], [0.645, 0.113, 0.243], [0.146, 0.396, 0.748], [0.855, 0.395, 0.760], [0.145, 0.613, 0.243], [0.497, 0.457, 0.745], [0.357, 0.138, 0.071], [0.428, 0.562, 0.564], [0.928, 0.062, 0.564], [0.244, 0.689, 0.257], [0.069, 0.836, 0.725], [0.862, 0.349, 0.589], [0.434, 0.426, 0.083], [0.248, 0.840, 0.735], [0.412, 0.638, 0.257], [0.769, 0.689, 0.254], [0.416, 0.357, 0.762], [0.856, 0.421, 0.263], [0.744, 0.189, 0.257], [0.082, 0.149, 0.259], [0.470, 0.157, 0.424], [0.538, 0.824, 0.572], [0.569, 0.336, 0.725], [0.748, 0.340, 0.735], [0.452, 0.834, 0.946], [0.036, 0.671, 0.059], [0.952, 0.334, 0.946], [0.742, 0.807, 0.764], [0.147, 0.385, 0.926], [0.269, 0.189, 0.254], [0.582, 0.649, 0.259], [0.912, 0.138, 0.257], [0.558, 0.436, 0.434], [0.082, 0.055, 0.914], [0.857, 0.638, 0.071], [0.916, 0.857, 0.762], [0.850, 0.578, 0.757], [0.058, 0.936, 0.434], [0.242, 0.307, 0.764], [0.536, 0.171, 0.059], [0.350, 0.078, 0.757], [0.038, 0.324, 0.572], [0.144, 0.671, 0.412], [0.157, 0.436, 0.256], [0.644, 0.171, 0.412], [0.356, 0.921, 0.263], [0.362, 0.849, 0.589], [0.970, 0.657, 0.424], [0.657, 0.936, 0.256], [0.582, 0.555, 0.914], [0.647, 0.885, 0.926], [0.155, 0.573, 0.722], [0.934, 0.926, 0.083], [0.655, 0.073, 0.722], [0.395, 0.254, 0.931], [0.106, 0.750, 0.561], [0.892, 0.250, 0.436], [0.392, 0.750, 0.436], [0.895, 0.754, 0.931], [0.606, 0.250, 0.561], [0.603, 0.743, 0.064], [0.103, 0.243, 0.064]], "magnetic_moment_mub_per_cell": 0.00}

***

# 7
{"formula": "Na2Gd2MgSi4O12F2", "functional": "GGA-PBE", "state": "relaxed", "cell": [[5.227, 0.000, 0.000], [0.000, 7.595, 0.000], [-0.041, 0.000, 14.499]], "species": ["Na", "Na", "Na", "Na", "Gd", "Gd", "Gd", "Gd", "Mg", "Mg", "Si", "Si", "Si", "Si", "Si", "Si", "Si", "Si", "O", "O", "O", "O", "O", "O", "O", "O", "O", "O", "O", "O", "O", "O", "O", "O", "O", "O", "O", "O", "O", "O", "O", "O", "F", "F", "F", "F"], "fractional_positions": [[0.003, 0.042, 0.211], [0.003, 0.458, 0.711], [0.997, 0.542, 0.289], [0.997, 0.958, 0.789], [0.016, 0.228, 0.458], [0.016, 0.272, 0.958], [0.984, 0.728, 0.042], [0.984, 0.772, 0.542], [0.500, 0.000, 0.000], [0.500, 0.500, 0.500], [0.463, 0.629, 0.885], [0.463, 0.871, 0.385], [0.477, 0.740, 0.186], [0.477, 0.760, 0.686], [0.523, 0.240, 0.314], [0.523, 0.260, 0.814], [0.537, 0.129, 0.615], [0.537, 0.371, 0.115], [0.212, 0.558, 0.941], [0.212, 0.942, 0.441], [0.214, 0.243, 0.315], [0.214, 0.257, 0.815], [0.333, 0.627, 0.614], [0.333, 0.873, 0.114], [0.356, 0.728, 0.790], [0.356, 0.772, 0.290], [0.361, 0.240, 0.054], [0.361, 0.260, 0.554], [0.362, 0.541, 0.153], [0.362, 0.959, 0.653], [0.638, 0.041, 0.347], [0.638, 0.459, 0.847], [0.639, 0.740, 0.446], [0.639, 0.760, 0.946], [0.644, 0.228, 0.710], [0.644, 0.272, 0.210], [0.667, 0.127, 0.886], [0.667, 0.373, 0.386], [0.786, 0.743, 0.185], [0.786, 0.757, 0.685], [0.788, 0.058, 0.559], [0.788, 0.442, 0.059], [0.163, 0.539, 0.439], [0.163, 0.961, 0.939], [0.837, 0.039, 0.061], [0.837, 0.461, 0.561]], "magnetic_moment_mub_per_cell": 28.00}

***

# 8
{"formula": "NdC6N9", "functional": "GGA-PBE", "state": "relaxed", "cell": [[3.925, -5.937, 0.000], [3.925, 5.937, 0.000], [0.000, 0.000, 10.560]], "species": ["Nd", "Nd", "C", "C", "C", "C", "C", "C", "C", "C", "C", "C", "C", "C", "N", "N", "N", "N", "N", "N", "N", "N", "N", "N", "N", "N", "N", "N", "N", "N", "N", "N"], "fractional_positions": [[0.215, 0.785, 0.750], [0.785, 0.215, 0.250], [0.057, 0.231, 0.750], [0.210, 0.501, 0.053], [0.210, 0.501, 0.447], [0.231, 0.057, 0.250], [0.499, 0.790, 0.053], [0.499, 0.790, 0.447], [0.501, 0.210, 0.553], [0.501, 0.210, 0.947], [0.769, 0.943, 0.750], [0.790, 0.499, 0.553], [0.790, 0.499, 0.947], [0.943, 0.769, 0.250], [0.032, 0.968, 0.250], [0.080, 0.359, 0.099], [0.080, 0.359, 0.401], [0.145, 0.409, 0.750], [0.344, 0.656, 0.506], [0.344, 0.656, 0.994], [0.359, 0.080, 0.599], [0.359, 0.080, 0.901], [0.409, 0.145, 0.250], [0.591, 0.855, 0.750], [0.641, 0.920, 0.099], [0.641, 0.920, 0.401], [0.656, 0.344, 0.006], [0.656, 0.344, 0.494], [0.855, 0.591, 0.250], [0.920, 0.641, 0.599], [0.920, 0.641, 0.901], [0.968, 0.032, 0.750]]}

***

Formation energy per entry: -0.4134, -2.4250, -1.2659, -0.0233, -1.4038, -2.9751, -3.3943, -0.1961 eV per atom